No. 1
TbEu2TaO6 | PBE | relaxed

abc: 8.428 8.428 8.428
angles: 90.00 90.00 90.00
Space group Fm-3m (No. 225)
Inequivalent atoms, fractional coordinates:
Tb 0.000 0.000 0.000
Eu 0.250 0.250 0.250
Ta 0.000 0.000 0.500
O 0.000 0.000 0.264

Values from the calculation:
The total DFT energy (no corrections) comes out at -9.72 eV per atom. The energy relative to the elements is -3465 meV per atom. The calculated volume is 14.96 Å³ per atom.


No. 2
EuTcO3 | PBE | relaxed

abc: 3.968 3.968 3.968
angles: 90.00 90.00 90.00
Space group Pm-3m (No. 221)
Inequivalent atoms, fractional coordinates:
Eu 0.000 0.000 0.000
Tc 0.500 0.500 0.500
O 0.000 0.500 0.500

Values from the calculation:
The total DFT energy (no corrections) comes out at -9.11 eV per atom. The energy relative to the elements is -2430 meV per atom. The calculated volume is 12.49 Å³ per atom.


No. 3
Eu2Ti2O7 | PBE | relaxed

abc: 10.322 10.322 10.322
angles: 90.00 90.00 90.00
Space group Fd-3m (No. 227, origin choice 2)
Inequivalent atoms, fractional coordinates:
Eu 0.000 0.000 0.000
Ti 0.000 0.000 0.500
O 0.075 0.375 0.875
O 0.125 0.125 0.125

Values from the calculation:
The total DFT energy (no corrections) comes out at -9.43 eV per atom. The energy relative to the elements is -3415 meV per atom. The calculated volume is 12.50 Å³ per atom.


No. 4
Eu2TiO4 | PBE | relaxed

abc: 3.918 3.918 12.433
angles: 90.00 90.00 90.00
Space group I4/mmm (No. 139)
Inequivalent atoms, fractional coordinates:
Eu 0.000 0.000 0.145
Ti 0.000 0.000 0.500
O 0.000 0.000 0.336
O 0.000 0.500 0.000

Values from the calculation:
The total DFT energy (no corrections) comes out at -9.96 eV per atom. The energy relative to the elements is -3463 meV per atom. The calculated volume is 13.63 Å³ per atom.


No. 5
Eu3Ti2O7 | PBE | relaxed

abc: 3.926 3.926 20.275
angles: 90.00 90.00 90.00
Space group I4/mmm (No. 139)
Inequivalent atoms, fractional coordinates:
Eu 0.000 0.000 0.000
Eu 0.000 0.000 0.184
Ti 0.000 0.000 0.402
O 0.000 0.000 0.303
O 0.000 0.000 0.500
O 0.000 0.500 0.096

Values from the calculation:
The total DFT energy (no corrections) comes out at -9.87 eV per atom. The energy relative to the elements is -3505 meV per atom. The calculated volume is 13.02 Å³ per atom.


No. 6
EuTiO14 | PBE | relaxed

abc: 10.652 10.652 10.652
angles: 90.00 90.00 90.00
Space group Fd-3m (No. 227, origin choice 2)
Inequivalent atoms, fractional coordinates:
Eu 0.125 0.125 0.125
Ti 0.125 0.125 0.625
O 0.000 0.000 0.000
O 0.024 0.024 0.358

Values from the calculation:
The total DFT energy (no corrections) comes out at -5.20 eV per atom. The energy relative to the elements is -340 meV per atom. The calculated volume is 9.44 Å³ per atom.